Record 1
The following is a DFT calculation (GGA+U) of crystalline Mn3Nb2ZnO9 at its relaxed geometry.

The structure in extended XYZ format:
```
30
Lattice="-5.3317 0.5932 -0.1381 2.4594 -3.0262 -3.6867 -1.5180 -11.6530 8.5526" Properties=species:S:1:pos:R:3 pbc="T T T"
Mn -3.7936 -8.7423 4.6453
Mn -4.2243 -12.0484 7.0719
Mn -3.4653 -6.2219 2.7955
Mn -0.9171 -7.8032 1.8878
Mn -0.1581 -1.9767 -2.3886
Mn -3.0346 -2.9158 0.3690
Nb -1.3023 -9.9972 7.3374
Nb -0.2142 -1.6447 1.2071
Nb -0.9732 -7.4712 5.4834
Nb -0.5433 -4.1707 3.0611
Zn -1.3434 -11.0763 4.2900
Zn -0.5844 -5.2497 0.0136
O -1.1617 -1.7262 -0.4608
O -3.2301 -12.3428 5.1823
O 0.2720 -3.7711 1.0774
O 0.5811 -5.7413 -1.5520
O -3.6844 -2.4204 -1.8544
O -2.9380 -8.4144 2.4609
O -2.5069 -11.3087 2.6640
O -0.6982 -11.6520 6.5729
O 0.9298 -6.8947 0.9941
O -2.6151 -6.6983 4.8564
O -1.9074 -9.4396 5.3170
O -5.3145 -7.1751 3.7276
O -2.4032 -4.6759 -0.6301
O -0.6465 -13.4135 4.1821
O -3.7445 -0.6617 0.5312
O -1.7713 -7.3774 -0.1430
O -1.4563 -5.6567 2.2573
O 0.5874 -10.9196 3.7433
```

Computed properties:
SG   P3c1, No. 158
Energy of formation   -2.4867 eV/atom
Crystal system   trigonal
Calculated total energy   -7.97 eV per atom
ρ   5.13 Mg/m³



Record 2
The following is a DFT calculation (GGA+U) of crystalline K2MnO4 at its relaxed geometry.

The structure in extended XYZ format:
```
28
Lattice="6.1134 -0.0026 -0.2905 -0.0034 8.1433 0.0015 -5.0075 0.0040 10.5938" Properties=species:S:1:pos:R:3 pbc="T T T"
K -3.3529 5.8617 9.5954
K -0.6614 4.0037 7.4605
K -0.8500 6.3588 4.2986
K -0.7410 8.0753 8.1418
K 1.8437 0.0701 2.1633
K 1.9520 1.7855 6.0066
K 1.7644 4.1417 2.8443
K 4.4561 2.2844 0.7095
Mn -3.7524 2.0472 9.7918
Mn -1.2490 2.0282 4.4954
Mn 2.3507 6.1141 5.8103
Mn 4.8555 6.0992 0.5120
O -3.1027 0.5324 9.6187
O -2.7723 3.1947 9.1028
O -1.3917 1.6955 6.1270
O -2.2529 6.1437 6.8221
O -0.6006 3.5438 4.3228
O -0.2681 0.8814 3.8063
O 0.8508 2.0719 8.7798
O -0.0091 5.7691 9.4745
O 1.1126 2.3769 0.8295
O 0.2522 6.0743 1.5244
O 1.3696 7.2606 6.4990
O 1.7025 4.5980 5.9821
O 3.3542 1.9995 3.4835
O 2.4935 6.4474 4.1784
O 3.8755 4.9522 1.2012
O 4.2058 7.6144 0.6850
```

Computed properties:
SG   P-1, No. 2
Energy of formation   -1.7194 eV/atom
Energy above the most stable polymorph in this dataset   0.006 eV per atom
Crystal system   triclinic
Calculated total energy   -5.54 eV per atom
ρ   2.54 Mg/m³



Record 3
The following is a DFT calculation (GGA+U) of crystalline Li3V3P8O29 at its relaxed geometry.

The structure in extended XYZ format:
```
86
Lattice="9.0459 1.0810 3.4903 -2.0802 -7.5890 -5.7793 3.5046 7.8925 -11.3649" Properties=species:S:1:pos:R:3 pbc="T T T"
Li 0.3831 -1.8171 -2.1786
Li 3.3377 2.1505 -7.4100
Li 10.1691 3.1699 -11.5301
Li 4.3067 3.1410 -4.3823
Li 10.1390 7.6201 -8.4846
Li 8.0892 -2.2323 -7.7452
V 4.8486 -1.7166 -4.1261
V 5.7046 3.1301 -9.5693
V 1.4637 1.5425 -11.7159
V 9.0008 -0.1680 -1.9984
V 2.7173 -5.1711 -7.0441
V 5.6250 -1.0636 -12.2768
P 3.0914 -0.0748 -14.0520
P 0.3417 -3.1708 -8.0960
P 5.5453 -3.5393 -6.7181
P 2.0753 -3.5859 -4.1711
P 3.8576 0.3063 -9.8304
P 7.5505 1.5059 -11.6380
P 7.8512 0.7915 -8.7710
P 3.0840 4.2933 -11.1236
P 7.3990 -2.9315 -2.5524
P 2.6291 0.5498 -4.9054
P 2.9353 -0.1214 -2.0332
P 6.5675 1.1179 -3.8166
P 8.4552 5.0296 -9.4416
P 4.9629 4.8599 -6.9014
P 10.1308 4.5300 -5.6049
P 7.3692 1.3902 0.3802
O 4.1415 4.5848 -5.6984
O 1.6386 -4.0339 -8.2066
O 7.6225 -4.0412 -1.6096
O 2.1261 1.0234 -13.4918
O 4.4277 -0.0230 -13.2167
O 2.0157 -4.4024 -5.5489
O 4.0945 -3.8463 -7.1772
O 7.1237 1.2131 1.8295
O 6.9991 0.3737 -12.5473
O 2.6758 0.4436 -10.8967
O 0.6089 -2.0038 -7.0741
O 5.0524 -0.3083 -10.6759
O 1.7042 -4.3987 -2.9918
O 3.4399 -0.5024 -8.6639
O 3.5526 -3.0586 -4.1532
O 2.7535 2.9300 -11.7651
O 1.1564 -2.3309 -4.3714
O 5.5120 -2.3189 -5.7523
O 8.1148 0.7119 -10.3580
O 7.5074 -0.5385 -8.2601
O 8.6144 2.3320 -12.2425
O 6.3348 2.3495 -11.1137
O 4.2522 1.7721 -9.4431
O 5.9598 -2.8476 -3.1251
O 3.6584 -0.5727 -5.1125
O 1.2600 0.1079 -5.4984
O -0.7005 -4.1473 -7.3375
O -0.1449 -2.7771 -9.4330
O 1.6468 2.9973 -7.7987
O 9.2112 1.3244 -8.2081
O 6.7902 1.9119 -8.5911
O 4.5332 4.2272 -10.5704
O 6.1607 -0.3683 -4.1173
O 4.1173 -0.9825 -2.5468
O 1.8369 -0.8921 -1.4194
O 3.0873 1.8736 -5.4519
O 2.3713 0.6983 -3.3318
O 4.8932 3.6588 -7.8919
O 9.3289 3.7388 -9.2881
O 7.7416 -1.5293 -1.9560
O 6.9520 4.4511 -9.4624
O 8.8001 5.8157 -10.6478
O 6.9084 1.9258 -5.0103
O 5.3674 1.7558 -3.0215
O 9.8606 3.3790 -6.6271
O 7.7926 0.9717 -2.7909
O 3.5265 1.0350 -1.1722
O 2.3862 -1.4546 -13.5055
O 5.3556 7.5420 -9.7262
O 6.4664 5.1505 -6.5572
O 8.5710 5.8651 -8.1145
O 6.0395 1.3281 -0.4457
O 8.3651 0.3348 -0.1838
O 2.8103 5.4562 -12.0233
O 11.1898 5.5206 -6.3392
O 8.8649 5.4116 -5.4869
O 6.5630 -3.3694 -7.7727
O 5.9463 -4.7814 -5.7422
```

Computed properties:
SG   P1, No. 1
Energy of formation   -2.5227 eV/atom
Energy above the most stable polymorph in this dataset   0.010 eV per atom
Crystal system   triclinic
Calculated total energy   -7.05 eV per atom
ρ   2.49 Mg/m³



Record 4
The following is a DFT calculation (GGA+U) of crystalline Sb2Te3WC4O4F12 at its relaxed geometry.

The structure in extended XYZ format:
```
104
Lattice="8.7359 0.0000 0.0000 0.0000 15.1676 0.0000 0.0000 0.0000 15.7703" Properties=species:S:1:pos:R:3 pbc="T T T"
Sb 2.1840 8.4216 5.4264
Sb 2.1840 14.3297 13.3116
Sb 6.5519 6.7460 10.3438
Sb 6.5519 0.8378 2.4587
Sb 2.1840 3.7269 0.5924
Sb 2.1840 3.8569 8.4776
Sb 6.5519 11.4407 15.1779
Sb 6.5519 11.3107 7.2927
Te 2.1840 8.4213 9.9578
Te 2.1840 14.3301 2.0727
Te 6.5519 6.7463 5.8125
Te 6.5519 0.8375 13.6976
Te 0.7943 10.4121 11.3131
Te 3.5737 12.3392 3.4279
Te 5.1623 4.7554 4.4572
Te 7.9416 2.8283 12.3424
Te 7.9416 4.7554 4.4572
Te 5.1623 2.8283 12.3424
Te 3.5737 10.4121 11.3131
Te 0.7943 12.3392 3.4279
W 2.1840 8.4259 12.8498
W 2.1840 14.3254 4.9647
W 6.5519 6.7416 2.9205
W 6.5519 0.8421 10.8056
C 2.1840 6.3949 12.6228
C 2.1840 1.1889 4.7377
C 6.5519 8.7727 3.1475
C 6.5519 13.9787 11.0326
C 2.1840 9.4339 14.6596
C 2.1840 13.3174 6.7744
C 6.5519 5.7336 1.1107
C 6.5519 1.8502 8.9958
C 0.4342 7.8124 13.7243
C 3.9337 14.9390 5.8392
C 4.8022 7.3552 2.0460
C 8.3017 0.2286 9.9311
C 8.3017 7.3552 2.0460
C 4.8022 0.2286 9.9311
C 3.9337 7.8124 13.7243
C 0.4342 14.9390 5.8392
O 2.1840 5.2487 12.4778
O 2.1840 2.3351 4.5926
O 6.5519 9.9189 3.2925
O 6.5519 12.8325 11.1777
O 2.1840 10.0006 15.6610
O 2.1840 12.7507 7.7759
O 6.5519 5.1669 0.1093
O 6.5519 2.4168 7.9944
O 8.1923 7.4724 14.2311
O 4.9115 0.1114 6.3460
O 3.8244 7.6952 1.5392
O 0.5436 15.0561 9.4243
O 0.5436 7.6952 1.5392
O 3.8244 15.0561 9.4243
O 4.9115 7.4724 14.2311
O 8.1923 0.1114 6.3460
F 2.1840 6.7646 4.4382
F 2.1840 0.8192 12.3233
F 6.5519 8.4030 11.3321
F 6.5519 14.3484 3.4469
F 2.1840 10.0746 6.3861
F 2.1840 12.6768 14.2712
F 6.5519 5.0930 9.3842
F 6.5519 2.4908 1.4991
F 3.5373 9.1292 4.2495
F 0.8307 13.6222 12.1346
F 7.9052 6.0384 11.5208
F 5.1986 1.5454 3.6357
F 5.1986 6.0384 11.5208
F 7.9052 1.5454 3.6357
F 0.8307 9.1292 4.2495
F 3.5373 13.6222 12.1346
F 3.5596 7.7131 6.5650
F 0.8084 15.0383 14.4501
F 7.9275 7.4545 9.2053
F 5.1763 0.1293 1.3202
F 5.1763 7.4545 9.2053
F 7.9275 0.1293 1.3202
F 0.8084 7.7131 6.5650
F 3.5596 15.0383 14.4501
F 2.1840 1.9486 1.3512
F 2.1840 5.6352 9.2364
F 6.5519 13.2190 14.4191
F 6.5519 9.5324 6.5339
F 2.1840 5.5000 15.6345
F 2.1840 2.0838 7.7494
F 6.5519 9.6675 0.1358
F 6.5519 13.0838 8.0209
F 3.5367 4.2531 1.8669
F 0.8312 3.3306 9.7520
F 7.9047 10.9144 13.9034
F 5.1992 11.8369 6.0183
F 5.1992 10.9144 13.9034
F 7.9047 11.8369 6.0183
F 0.8312 4.2531 1.8669
F 3.5367 3.3306 9.7520
F 0.8255 3.2150 15.1066
F 3.5425 4.3688 7.2214
F 5.1934 11.9526 0.6637
F 7.9104 10.7987 8.5489
F 7.9104 11.9526 0.6637
F 5.1934 10.7987 8.5489
F 3.5425 3.2150 15.1066
F 0.8255 4.3688 7.2214
```

Computed properties:
SG   Pnma, No. 62
Energy of formation   -1.7359 eV/atom
Energy above the most stable polymorph in this dataset   0.000 eV per atom
Crystal system   orthorhombic
Calculated total energy   -5.49 eV per atom
ρ   3.66 Mg/m³



Record 5
The following is a DFT calculation (GGA+U) of crystalline TiFeO4 at its relaxed geometry.

The structure in extended XYZ format:
```
12
Lattice="3.8555 3.5293 1.3153 -1.9386 0.2006 5.1442 1.9047 -3.4477 3.6679" Properties=species:S:1:pos:R:3 pbc="T T T"
Ti 0.9266 -0.7599 4.7279
Ti 1.9427 2.7660 3.5655
Fe 0.9416 0.2415 7.6358
Fe 0.0000 0.0000 0.0000
O 2.1711 -1.4827 3.3488
O 3.0980 1.8912 2.1967
O -0.2030 0.0683 6.1463
O 2.5771 0.0876 8.5630
O 1.7153 0.8163 3.8254
O 0.7050 -2.6490 5.0419
O -0.7387 -0.5980 3.7703
O 2.1064 -0.5340 6.3020
```

Computed properties:
SG   C222, No. 21
Energy of formation   -2.3482 eV/atom
Energy above the most stable polymorph in this dataset   0.010 eV per atom
Crystal system   orthorhombic
Calculated total energy   -7.54 eV per atom
ρ   4.00 Mg/m³



Record 6
The following is a DFT calculation (GGA+U) of crystalline Rb2Cr2O7 at its relaxed geometry.

The structure in extended XYZ format:
```
44
Lattice="7.8228 0.0000 0.0000 0.0000 7.8885 0.0000 0.0000 6.9455 13.9871" Properties=species:S:1:pos:R:3 pbc="T T T"
Rb 2.1556 4.8800 8.8561
Rb 1.7558 1.4072 1.8625
Rb 0.9208 9.9193 11.7731
Rb 5.6672 9.9541 5.1310
Rb 4.8322 8.3875 9.2076
Rb 6.9021 4.9147 2.2140
Rb 6.0670 13.4268 12.1246
Rb 2.9907 6.4465 4.7795
Cr 5.2051 9.5260 12.8775
Cr 6.1327 4.3072 8.5626
Cr 1.2937 8.7808 8.1032
Cr 6.5291 6.0532 5.8839
Cr 1.6901 10.5268 5.4246
Cr 2.2213 13.9995 12.4181
Cr 2.6177 5.3080 1.1096
Cr 5.6016 0.8345 1.5690
O 7.1446 11.6287 9.7128
O 1.1855 12.9224 11.7438
O 5.2873 10.9723 7.8871
O 4.6134 1.6625 0.3224
O 2.7259 9.4496 4.7502
O 3.8896 4.7170 1.9324
O 6.4469 7.4995 0.8935
O 5.6707 5.0421 4.9173
O 3.2095 13.1716 13.6647
O 6.0635 8.5148 11.9109
O 1.6295 4.0889 0.6341
O 5.0970 5.3844 9.2369
O 3.9333 10.1171 12.0548
O 0.0218 8.1897 8.9259
O 4.5896 8.1560 2.7192
O 5.5410 7.2724 6.3595
O 1.7593 6.3192 2.0762
O 1.3759 7.3345 13.0936
O 2.2819 7.5616 7.6276
O 7.1209 5.1352 7.3159
O 7.8010 6.6443 5.0612
O 3.2332 6.6780 11.2679
O 0.6782 3.2053 4.2743
O 6.1933 10.7452 13.3530
O 2.5355 3.8617 6.1000
O 0.7020 9.6988 6.6712
O 2.1521 9.7919 9.0698
O 6.6373 1.9117 2.2434
```

Computed properties:
SG   P2_1/c, No. 14
Energy of formation   -1.9340 eV/atom
Energy above the most stable polymorph in this dataset   0.000 eV per atom
Crystal system   monoclinic
Calculated total energy   -6.22 eV per atom
ρ   2.98 Mg/m³



Record 7
The following is a DFT calculation (GGA+U) of crystalline CaCr2F12 at its relaxed geometry.

The structure in extended XYZ format:
```
15
Lattice="9.6360 -0.0055 6.1291 1.6953 4.4482 3.0430 -0.0072 -0.0316 5.7113" Properties=species:S:1:pos:R:3 pbc="T T T"
Ca 8.0711 2.2041 8.9740
Cr 1.7673 4.3668 8.7600
Cr 4.7389 0.0469 3.0589
F 1.7094 0.5334 5.8103
F 6.5365 0.5288 8.8772
F 1.9052 3.4982 4.5438
F 6.7386 3.4687 7.6140
F 2.1881 3.0148 7.7396
F 7.0209 3.0077 10.8203
F 4.6009 0.9156 7.2751
F 9.4035 0.9396 10.3340
F 4.7968 3.8804 6.0086
F 9.6056 3.8794 9.0708
F 4.3180 1.3990 4.0793
F 9.1212 1.4005 7.1277
```

Computed properties:
SG   P-1, No. 2
Energy of formation   -2.7187 eV/atom
Energy above the most stable polymorph in this dataset   0.000 eV per atom
Crystal system   triclinic
Calculated total energy   -5.04 eV per atom
ρ   2.51 Mg/m³



Record 8
The following is a DFT calculation (GGA+U) of crystalline Mn3OF5 at its relaxed geometry.

The structure in extended XYZ format:
```
18
Lattice="4.8651 0.0000 0.0000 -0.0520 5.8724 0.0000 -0.0200 -0.3347 8.1317" Properties=species:S:1:pos:R:3 pbc="T T T"
Mn 2.3793 3.0100 0.0280
Mn 2.4468 0.7577 5.4679
Mn 2.2134 4.7427 2.6597
Mn 0.0302 3.7497 5.2822
Mn 0.0468 1.9444 2.7178
Mn -0.0111 5.7511 0.1102
O 0.9333 3.5941 3.4706
O 1.4754 4.5643 0.8746
F 0.8620 5.4383 6.2657
F 0.9565 1.6342 0.8087
F 1.4456 2.4968 6.2808
F 1.4351 0.6539 3.5562
F 3.2326 4.8820 4.4792
F 3.4172 3.0244 1.8139
F 3.3693 0.9316 7.4281
F 3.9105 1.9763 4.6248
F 3.8289 0.1191 1.9898
F 3.8619 3.8399 7.1951
```

Computed properties:
SG   P1, No. 1
Energy of formation   -2.7224 eV/atom
Energy above the most stable polymorph in this dataset   0.024 eV per atom
Crystal system   triclinic
Calculated total energy   -6.50 eV per atom
ρ   3.94 Mg/m³